The following is a DFT calculation (PBE with a Hubbard U) of Li4MnCo2O7 after structural relaxation. Values from VASP.

Output
M_tot, Bohr magnetons per cell: 20.00
SG: Cm (8)
Polymorph energy (0 for the lowest one), eV/atom: 0.058

Geometry as Quantum ESPRESSO input:
```
&SYSTEM
  ibrav = 0, nat = 28, ntyp = 4
/
ATOMIC_SPECIES
Li 6.94 Li.upf
Mn 54.94 Mn.upf
Co 58.93 Co.upf
O 16.00 O.upf
CELL_PARAMETERS angstrom
6.278 -1.482 0.000
6.278 1.482 0.000
-4.868 0.000 13.594
ATOMIC_POSITIONS crystal
Li 0.000 0.000 0.000
Li 0.001 0.001 0.513
Li 0.144 0.144 0.730
Li 0.306 0.306 0.455
Li 0.425 0.425 0.146
Li 0.576 0.576 0.868
Li 0.723 0.723 0.593
Li 0.865 0.865 0.304
Mn 0.150 0.150 0.228
Mn 0.573 0.573 0.376
Co 0.291 0.291 0.947
Co 0.435 0.435 0.652
Co 0.720 0.720 0.081
Co 0.861 0.861 0.800
O 0.019 0.019 0.276
O 0.140 0.140 0.462
O 0.153 0.153 0.977
O 0.279 0.279 0.191
O 0.303 0.303 0.693
O 0.426 0.426 0.902
O 0.442 0.442 0.403
O 0.563 0.563 0.628
O 0.584 0.584 0.140
O 0.707 0.707 0.323
O 0.729 0.729 0.837
O 0.864 0.864 0.045
O 0.865 0.865 0.557
O 0.993 0.993 0.759
```